(1)
DFT (PBE) results for a geometry-optimized Cu3Te2O10 structure.

Properties
calculated formation energy: -1083.1 meV per atom
ρ: 5067 kg/m³
V: 198.5 Å³/cell
offset from the most stable computed form: 0.000 eV per atom
raw total energy: -77.4 eV for the cell shown

```
data_Cu3Te2O10
_symmetry_space_group_name_H-M 'P -1'
_symmetry_Int_Tables_number 2
_cell_length_a 5.207
_cell_length_b 5.507
_cell_length_c 7.777
_cell_angle_alpha 108.47
_cell_angle_beta 97.50
_cell_angle_gamma 105.18
loop_
_symmetry_equiv_pos_as_xyz
'x,y,z'
'-x,-y,-z'
loop_
_atom_site_label
_atom_site_type_symbol
_atom_site_fract_x
_atom_site_fract_y
_atom_site_fract_z
_atom_site_occupancy
Cu1 Cu 0.000 0.000 0.000 1
Cu2 Cu 0.301 0.616 0.096 1
Te1 Te 0.114 0.208 0.695 1
O1 O 0.064 0.548 0.845 1
O2 O 0.096 0.829 0.543 1
O3 O 0.198 0.954 0.206 1
O4 O 0.314 0.219 0.944 1
O5 O 0.473 0.369 0.680 1
```


(2)
DFT (PBE) results for a geometry-optimized Ti2Mn4Si5 structure.

Properties
calculated formation energy: -328.0 meV per atom
ρ: 5241 kg/m³
V: 577.8 Å³/cell
raw total energy: -334.1 eV for the cell shown

```
data_Ti2Mn4Si5
_symmetry_space_group_name_H-M 'I b a m'
_symmetry_Int_Tables_number 72
_symmetry_space_group_name_Hall '-I 2 2c'
_cell_length_a 7.253
_cell_length_b 16.478
_cell_length_c 4.835
_cell_angle_alpha 90.00
_cell_angle_beta 90.00
_cell_angle_gamma 90.00
loop_
_atom_site_label
_atom_site_type_symbol
_atom_site_fract_x
_atom_site_fract_y
_atom_site_fract_z
_atom_site_occupancy
Ti1 Ti 0.000 0.188 0.250 1
Mn1 Mn 0.130 0.345 0.000 1
Mn2 Mn 0.246 0.063 0.000 1
Si1 Si 0.000 0.500 0.250 1
Si2 Si 0.101 0.060 0.500 1
Si3 Si 0.189 0.296 0.500 1
```


(3)
DFT (PBE) results for a geometry-optimized PNF6 structure.

Properties
calculated formation energy: -1577.7 meV per atom
ρ: 2339 kg/m³
V: 451.3 Å³/cell
raw total energy: -140.3 eV for the cell shown

```
data_PNF6
_symmetry_space_group_name_H-M 'P a -3'
_symmetry_Int_Tables_number 205
_symmetry_space_group_name_Hall '-P 2ac 2ab 3'
_cell_length_a 7.671
_cell_length_b 7.671
_cell_length_c 7.671
_cell_angle_alpha 90.00
_cell_angle_beta 90.00
_cell_angle_gamma 90.00
loop_
_atom_site_label
_atom_site_type_symbol
_atom_site_fract_x
_atom_site_fract_y
_atom_site_fract_z
_atom_site_occupancy
P1 P 0.000 0.000 0.000 1
N1 N 0.000 0.000 0.500 1
F1 F 0.052 0.570 0.305 1
```